Entry 1:
An optimized crystal structure of Li4CO4, computed with PBE-GGA.

Summary:
- Energy with MP2020 corrections: -6.074 eV/atom
- Largest piezoelectric modulus: 0.55 C/m2

The structure in POSCAR format:
```
Li4CO4
1.0
-2.3430 1.3577 4.1615
-4.4604 1.6233 -1.4562
2.3053 -4.2712 -1.0459
Li C O
4 1 4
Cartesian
-3.9732 1.8186 2.8823
-2.8460 -0.0645 1.1351
-2.4855 -2.2496 -0.4433
0.3085 -2.0847 -0.2553
0.0000 0.0000 0.0000
-1.0256 -3.0146 -1.7165
-2.0240 1.0898 2.7999
-4.8027 0.0901 1.8315
-1.1439 -0.7456 0.4039
```

=====

Entry 2:
An optimized crystal structure of Ba2AlGa3, computed with PBE-GGA.

The structure in POSCAR format:
```
Ba2AlGa3
1.0
2.4724 5.6688 0.0000
-2.4724 5.6688 0.0000
0.0000 5.4056 5.7034
Ba Al Ga
2 1 3
Cartesian
0.0000 3.8662 1.0877
0.0000 12.8717 4.6166
0.0000 7.0516 2.3792
0.0000 9.6818 3.3232
0.0000 11.7540 1.3499
0.0000 5.0042 4.3536
```

=====

| no. | electronic total energy (eV/atom) |
| --- | --- |
| 1 | -5.7691 |
| 2 | -3.1778 |